No. 1
First-principles (PBE-GGA) data for a relaxed V5Se4 crystal, as listed in the Materials Project database.

Lattice parameters (Å, degrees): 6.803 6.803 6.803 93.43 93.43 151.69
Fractional positions:
1 V 0.000 0.000 0.000
2 V 0.380 0.307 0.687
3 V 0.620 0.693 0.313
4 V 0.693 0.380 0.073
5 V 0.307 0.620 0.927
6 Se 0.277 0.062 0.339
7 Se 0.723 0.938 0.661
8 Se 0.938 0.277 0.215
9 Se 0.062 0.723 0.785

formation enthalpy at 0 K	-0.8451	eV/atom
final energy	-7.236	eV per atom
V	144.8	Å³/f.u.
total energy after the MP2020 corrections	-67.01	eV per cell
crystal system	tetragonal

---

No. 2
First-principles (PBE-GGA) data for a relaxed VSe crystal, as listed in the Materials Project database.

Lattice parameters (Å, degrees): 3.474 3.474 6.807 90.00 90.00 120.00
Fractional positions:
1 V 0.333 0.667 0.250
2 V 0.667 0.333 0.750
3 Se 0.000 0.000 0.000
4 Se 0.000 0.000 0.500

formation enthalpy at 0 K	-0.4673	eV/atom
final energy	-6.521	eV per atom
V	35.6	Å³/f.u.
total energy after the MP2020 corrections	-27.03	eV per cell
crystal system	hexagonal

---

No. 3
First-principles (PBE-GGA) data for a relaxed VSe crystal, as listed in the Materials Project database.

Lattice parameters (Å, degrees): 3.770 3.770 5.784 90.00 90.00 120.00
Fractional positions:
1 V 0.000 0.000 0.000
2 V 0.000 0.000 0.500
3 Se 0.333 0.667 0.250
4 Se 0.667 0.333 0.750

formation enthalpy at 0 K	-0.7385	eV/atom
final energy	-6.792	eV per atom
V	35.6	Å³/f.u.
total energy after the MP2020 corrections	-28.11	eV per cell
crystal system	hexagonal

---

No. 4
First-principles (PBE-GGA) data for a relaxed VSe crystal, as listed in the Materials Project database.

Lattice parameters (Å, degrees): 3.629 3.629 6.572 90.00 90.00 90.00
Fractional positions:
1 V 0.500 0.500 0.000
2 V 0.000 0.000 0.000
3 Se 0.000 0.500 0.738
4 Se 0.500 0.000 0.262

formation enthalpy at 0 K	-0.7892	eV/atom
final energy	-6.843	eV per atom
V	43.3	Å³/f.u.
total energy after the MP2020 corrections	-28.32	eV per cell
crystal system	tetragonal